[1]
Entry from the Materials Project: a relaxed structure of HgPt3 (PBE).

POSCAR file:
```
HgPt3
1.0
2.914 -3.973 0.000
2.914 3.973 0.000
0.000 0.000 2.906
Hg Pt
1 3
Cartesian
0.000 0.000 0.000 Hg
1.457 1.986 1.453 Pt
1.457 -1.986 1.453 Pt
2.914 0.000 0.000 Pt
```

Summary:
- Crystal system: orthorhombic
- Total DFT energy (no corrections): -4.578 eV per atom

[2]
Entry from the Materials Project: a relaxed structure of HgPt2Se3 (PBE).

POSCAR file:
```
HgPt2Se3
1.0
7.556 0.000 0.000
-3.778 6.544 0.000
0.000 0.000 5.504
Hg Pt Se
2 4 6
Cartesian
0.000 4.362 0.850 Hg
3.778 2.181 4.655 Hg
0.000 0.000 2.752 Pt
-1.889 3.272 2.752 Pt
3.778 0.000 2.752 Pt
1.889 3.272 2.752 Pt
0.000 2.241 4.009 Se
-1.837 5.423 4.009 Se
1.941 1.121 1.495 Se
1.837 5.423 4.009 Se
5.615 1.121 1.495 Se
3.778 4.302 1.495 Se
```

Summary:
- Crystal system: trigonal
- Total DFT energy (no corrections): -4.172 eV per atom

[3]
Entry from the Materials Project: a relaxed structure of Pu2HgSb (PBE).

POSCAR file:
```
Pu2HgSb
1.0
0.000 3.776 3.776
3.776 0.000 3.776
3.776 3.776 0.000
Pu Hg Sb
2 1 1
Cartesian
1.888 1.888 1.888 Pu
5.663 5.663 5.663 Pu
0.000 0.000 0.000 Hg
3.776 3.776 3.776 Sb
```

Summary:
- Crystal system: cubic
- Total DFT energy (no corrections): -8.648 eV per atom

[4]
Entry from the Materials Project: a relaxed structure of Pu2SnHg (PBE).

POSCAR file:
```
Pu2SnHg
1.0
0.000 3.783 3.783
3.783 0.000 3.783
3.783 3.783 0.000
Pu Sn Hg
2 1 1
Cartesian
1.891 1.891 1.891 Pu
5.674 5.674 5.674 Pu
0.000 0.000 0.000 Sn
3.783 3.783 3.783 Hg
```

Summary:
- Crystal system: cubic
- Total DFT energy (no corrections): -8.484 eV per atom

[5]
Entry from the Materials Project: a relaxed structure of RbHg2 (PBE).

POSCAR file:
```
RbHg2
1.0
-2.704 4.324 4.880
2.704 -4.324 4.880
2.704 4.324 -4.880
Rb Hg
2 4
Cartesian
0.000 2.162 0.511 Rb
2.704 2.162 4.368 Rb
2.704 -0.532 1.607 Hg
2.704 3.792 -1.607 Hg
0.000 0.532 6.487 Hg
0.000 4.856 3.273 Hg
```

Summary:
- Crystal system: orthorhombic
- Total DFT energy (no corrections): -0.799 eV per atom

[6]
Entry from the Materials Project: a relaxed structure of RbHg3 (PBE).

POSCAR file:
```
RbHg3
1.0
7.643 0.000 0.000
-3.822 6.619 0.000
0.000 0.000 5.647
Rb Hg
2 6
Cartesian
0.000 4.413 1.412 Rb
3.822 2.206 4.235 Rb
0.000 1.917 4.235 Hg
-2.162 5.661 4.235 Hg
1.660 0.958 1.412 Hg
2.162 5.661 4.235 Hg
5.983 0.958 1.412 Hg
3.822 4.702 1.412 Hg
```

Summary:
- Crystal system: hexagonal
- Total DFT energy (no corrections): -0.690 eV per atom

Number 4 is which compound? Pu2SnHg